No. 1
Computed, not measured: crystalline SiO2 at its relaxed geometry at the PBE-GGA level of DFT.

abc: 9.3525 9.3525 9.3525
angles: 94.23 94.23 94.23
With the nearest neighbours (Å) after each atom.
Sites, in units of the cell vectors:
1 Si 0.1044 0.3329 0.8755  4 O 1.62-1.63
2 Si 0.1044 0.8755 0.3329  4 O 1.62-1.63
3 Si 0.1245 0.6671 0.8956  4 O 1.62-1.63
4 Si 0.1245 0.8956 0.6671  4 O 1.62-1.63
5 Si 0.3329 0.1044 0.8755  4 O 1.62-1.63
6 Si 0.3329 0.8755 0.1044  4 O 1.62-1.63
7 Si 0.6671 0.1245 0.8956  4 O 1.62-1.63
8 Si 0.6671 0.8956 0.1245  4 O 1.62-1.63
9 Si 0.8755 0.1044 0.3329  4 O 1.62-1.63
10 Si 0.8755 0.3329 0.1044  4 O 1.62-1.63
11 Si 0.8956 0.1245 0.6671  4 O 1.62-1.63
12 Si 0.8956 0.6671 0.1245  4 O 1.62-1.63
13 O 0.0000 0.2631 0.7369  2 Si 1.63
14 O 0.0000 0.7369 0.2631  2 Si 1.63
15 O 0.0224 0.0224 0.3191  2 Si 1.63
16 O 0.0224 0.3191 0.0224  2 Si 1.63
17 O 0.1097 0.7491 0.7491  2 Si 1.62
18 O 0.1478 0.5000 0.8522  2 Si 1.62
19 O 0.1478 0.8522 0.5000  2 Si 1.62
20 O 0.2509 0.2509 0.8903  2 Si 1.62
21 O 0.2509 0.8903 0.2509  2 Si 1.62
22 O 0.2631 0.0000 0.7369  2 Si 1.63
23 O 0.2631 0.7369 0.0000  2 Si 1.63
24 O 0.3191 0.0224 0.0224  2 Si 1.63
25 O 0.5000 0.1478 0.8522  2 Si 1.62
26 O 0.5000 0.8522 0.1478  2 Si 1.62
27 O 0.6809 0.9776 0.9776  2 Si 1.63
28 O 0.7369 0.0000 0.2631  2 Si 1.63
29 O 0.7369 0.2631 0.0000  2 Si 1.63
30 O 0.7491 0.1097 0.7491  2 Si 1.62
31 O 0.7491 0.7491 0.1097  2 Si 1.62
32 O 0.8522 0.1478 0.5000  2 Si 1.62
33 O 0.8522 0.5000 0.1478  2 Si 1.62
34 O 0.8903 0.2509 0.2509  2 Si 1.62
35 O 0.9776 0.6809 0.9776  2 Si 1.63
36 O 0.9776 0.9776 0.6809  2 Si 1.63

Values from the calculation:
Uncorrected energy = -7.904 eV per atom
Energy relative to the elements = -3255 meV/atom

***

No. 2
Computed, not measured: crystalline Cs at its relaxed geometry at the PBE-GGA level of DFT.

abc: 5.2914 5.2914 5.2914
angles: 109.47 109.47 109.47
With the nearest neighbours (Å) after each atom.
Sites, in units of the cell vectors:
1 Cs 0.0000 0.0000 0.0000  8 Cs 5.29

Values from the calculation:
Uncorrected energy = -0.857 eV per atom
E above lowest polymorph = 0.039 eV per formula unit
Energy relative to the elements = 39 meV/atom

***

No. 3
Computed, not measured: crystalline BH6Ru3C6O19F4 at its relaxed geometry at the PBE-GGA level of DFT.

abc: 11.2107 6.8156 14.5097
angles: 90.00 90.00 90.00
With the nearest neighbours (Å) after each atom.
Sites, in units of the cell vectors:
1 B 0.0000 0.1033 0.0000  4 F 1.42
2 B 0.5000 0.8967 0.5000  4 F 1.42
3 H 0.0000 0.6674 0.0677  1 C 1.10
4 H 0.0000 0.9959 0.2481  1 C 1.10
5 H 0.2364 0.9620 0.8920  1 C 1.10
6 H 0.2419 0.6702 0.0544  1 C 1.10
7 H 0.2581 0.3298 0.5544  1 C 1.10
8 H 0.2636 0.0380 0.3920  1 C 1.10
9 H 0.5000 0.0041 0.7481  1 C 1.10
10 H 0.5000 0.3326 0.5677  1 C 1.10
11 H 0.7364 0.0380 0.3920  1 C 1.10
12 H 0.7419 0.3298 0.5544  1 C 1.10
13 H 0.7581 0.6702 0.0544  1 C 1.10
14 H 0.7636 0.9620 0.8920  1 C 1.10
15 Ru 0.0000 0.7146 0.4978  1 O 1.71
16 Ru 0.1589 0.5095 0.3042  1 O 1.71
17 Ru 0.3411 0.4905 0.8042  1 O 1.71
18 Ru 0.5000 0.2854 0.9978  1 O 1.71
19 Ru 0.6589 0.4905 0.8042  1 O 1.71
20 Ru 0.8411 0.5095 0.3042  1 O 1.71
21 C 0.0000 0.1532 0.2654  1 H 1.10
22 C 0.0000 0.6289 0.1413  1 H 1.10
23 C 0.2026 0.4171 0.5073  1 H 1.10
24 C 0.2045 0.9094 0.3928  1 H 1.10
25 C 0.2955 0.0906 0.8928  1 H 1.10
26 C 0.2974 0.5829 0.0073  1 H 1.10
27 C 0.5000 0.3711 0.6413  1 H 1.10
28 C 0.5000 0.8468 0.7654  1 H 1.10
29 C 0.7026 0.5829 0.0073  1 H 1.10
30 C 0.7045 0.0906 0.8928  1 H 1.10
31 C 0.7955 0.9094 0.3928  1 H 1.10
32 C 0.7974 0.4171 0.5073  1 H 1.10
33 O 0.0000 0.5759 0.3646  3 Ru 2.04-2.15
34 O 0.0000 0.5932 0.8486  2 F 2.65-2.81, 2 O 2.76
35 O 0.0000 0.8332 0.6018  1 Ru 1.71
36 O 0.1022 0.2291 0.2752  1 C 1.26
37 O 0.1021 0.6120 0.1780  1 C 1.27
38 O 0.1241 0.5224 0.5455  1 C 1.26
39 O 0.1256 0.9103 0.4554  1 C 1.27
40 O 0.1985 0.0073 0.6579  1 O 2.65, 1 F 2.73, 1 H 2.74
41 O 0.2098 0.5503 0.7510  1 Ru 1.71
42 O 0.2222 0.7841 0.3297  1 C 1.27
43 O 0.2253 0.3940 0.4224  1 C 1.27
44 O 0.2747 0.6060 0.9224  1 C 1.27
45 O 0.2778 0.2159 0.8297  1 C 1.27
46 O 0.2902 0.4497 0.2510  1 Ru 1.71
47 O 0.3015 0.9927 0.1579  1 O 2.65, 1 F 2.73, 1 H 2.74
48 O 0.3744 0.0897 0.9554  1 C 1.27
49 O 0.3759 0.4776 0.0455  1 C 1.26
50 O 0.3979 0.3880 0.6780  1 C 1.27
51 O 0.3978 0.7709 0.7752  1 C 1.26
52 O 0.5000 0.1668 0.1018  1 Ru 1.71
53 O 0.5000 0.4068 0.3486  2 F 2.65-2.81, 2 O 2.76
54 O 0.5000 0.4241 0.8646  3 Ru 2.04-2.15
55 O 0.6021 0.3880 0.6780  1 C 1.27
56 O 0.6022 0.7709 0.7752  1 C 1.26
57 O 0.6241 0.4776 0.0455  1 C 1.26
58 O 0.6256 0.0897 0.9554  1 C 1.27
59 O 0.6985 0.9927 0.1579  1 O 2.65, 1 F 2.73, 1 H 2.74
60 O 0.7098 0.4497 0.2510  1 Ru 1.71
61 O 0.7222 0.2159 0.8297  1 C 1.27
62 O 0.7253 0.6060 0.9224  1 C 1.27
63 O 0.7747 0.3940 0.4224  1 C 1.27
64 O 0.7778 0.7841 0.3297  1 C 1.27
65 O 0.7902 0.5503 0.7510  1 Ru 1.71
66 O 0.8015 0.0073 0.6579  1 O 2.65, 1 F 2.73, 1 H 2.74
67 O 0.8744 0.9103 0.4554  1 C 1.27
68 O 0.8759 0.5224 0.5455  1 C 1.26
69 O 0.8978 0.2291 0.2752  1 C 1.26
70 O 0.8979 0.6120 0.1780  1 C 1.27
71 F 0.0000 0.3012 0.9697  1 B 1.42
72 F 0.0000 0.9739 0.9235  1 B 1.42
73 F 0.1036 0.0688 0.0544  1 B 1.42
74 F 0.3964 0.9312 0.5544  1 B 1.42
75 F 0.5000 0.0261 0.4235  1 B 1.42
76 F 0.5000 0.6988 0.4697  1 B 1.42
77 F 0.6036 0.9312 0.5544  1 B 1.42
78 F 0.8964 0.0688 0.0544  1 B 1.42

Values from the calculation:
Uncorrected energy = -6.152 eV per atom
Energy relative to the elements = -1101 meV/atom

***

No. 4
Computed, not measured: crystalline LiEr2Al at its relaxed geometry at the PBE-GGA level of DFT.

abc: 5.1042 5.1042 5.1042
angles: 60.00 60.00 60.00
With the nearest neighbours (Å) after each atom.
Sites, in units of the cell vectors:
1 Li 0.0000 0.0000 0.0000  8 Er 3.13
2 Er 0.2500 0.2500 0.2500  4 Al 3.13, 4 Li 3.13
3 Er 0.7500 0.7500 0.7500  4 Al 3.13, 4 Li 3.13
4 Al 0.5000 0.5000 0.5000  8 Er 3.13

Values from the calculation:
Uncorrected energy = -3.906 eV per atom
Energy relative to the elements = -208 meV/atom